Record 1
Material: LaFe8Si5
Method: DFT, PBE
State: optimized geometry

```
LaFe8Si5
1.0
5.5208 -5.8155 0.0000
5.5208 5.8155 0.0000
-5.5056 0.0000 5.5229
La Fe Si
2 16 10
direct
0.2478 0.7522 0.0000 La
0.7522 0.2478 0.0000 La
0.0000 0.0000 0.5000 Fe
0.0548 0.6997 0.5046 Fe
0.0599 0.0599 0.2493 Fe
0.1951 0.5491 0.2464 Fe
0.3004 0.3004 0.7311 Fe
0.3003 0.9452 0.4954 Fe
0.4300 0.4300 0.1291 Fe
0.4509 0.8049 0.7536 Fe
0.5000 0.5000 0.5000 Fe
0.5491 0.1951 0.2464 Fe
0.5700 0.5700 0.8709 Fe
0.6997 0.0548 0.5046 Fe
0.6996 0.6996 0.2689 Fe
0.8049 0.4509 0.7536 Fe
0.9401 0.9401 0.7507 Fe
0.9452 0.3003 0.4954 Fe
0.0465 0.2960 0.8337 Si
0.2096 0.2096 0.1423 Si
0.2102 0.4597 0.5121 Si
0.2960 0.0465 0.8337 Si
0.4597 0.2102 0.5121 Si
0.5403 0.7898 0.4879 Si
0.7040 0.9535 0.1663 Si
0.7898 0.5403 0.4879 Si
0.7904 0.7904 0.8577 Si
0.9535 0.7040 0.1663 Si
```

Computed properties:
- E_form: -0.40 eV per atom
- Space group: No. 12
- Magnetization: 0.48 μB per atom
- E above lowest polymorph: 0.118 eV per formula unit



Record 2
Material: RbZn13
Method: DFT, PBE
State: optimized geometry

```
RbZn13
1.0
0.0000 6.2223 6.2223
6.2223 0.0000 6.2223
6.2223 6.2223 0.0000
Rb Zn
2 26
direct
0.2500 0.2500 0.2500 Rb
0.7500 0.7500 0.7500 Rb
0.0000 0.0000 0.0000 Zn
0.0605 0.2987 0.7013 Zn
0.0605 0.7013 0.9395 Zn
0.0605 0.9395 0.2987 Zn
0.2013 0.4395 0.7987 Zn
0.2013 0.5605 0.4395 Zn
0.2013 0.7987 0.5605 Zn
0.2987 0.0605 0.9395 Zn
0.2987 0.7013 0.0605 Zn
0.2987 0.9395 0.7013 Zn
0.4395 0.2013 0.5605 Zn
0.4395 0.5605 0.7987 Zn
0.4395 0.7987 0.2013 Zn
0.5000 0.5000 0.5000 Zn
0.5605 0.2013 0.7987 Zn
0.5605 0.4395 0.2013 Zn
0.5605 0.7987 0.4395 Zn
0.7013 0.0605 0.2987 Zn
0.7013 0.2987 0.9395 Zn
0.7013 0.9395 0.0605 Zn
0.7987 0.2013 0.4395 Zn
0.7987 0.4395 0.5605 Zn
0.7987 0.5605 0.2013 Zn
0.9395 0.0605 0.7013 Zn
0.9395 0.2987 0.0605 Zn
0.9395 0.7013 0.2987 Zn
```

Computed properties:
- E_form: -0.05 eV per atom
- Space group: No. 226



Record 3
Material: Pr2Nd2Sb3
Method: DFT, PBE
State: optimized geometry

```
Pr2Nd2Sb3
1.0
-4.7782 4.7782 4.7782
4.7782 -4.7782 4.7782
4.7782 4.7782 -4.7782
Pr Nd Sb
4 4 6
direct
0.0000 0.1415 0.5000 Pr
0.1415 0.5000 0.0000 Pr
0.3585 0.3585 0.3585 Pr
0.5000 0.0000 0.1415 Pr
0.0000 0.6411 0.5000 Nd
0.5000 0.0000 0.6411 Nd
0.6411 0.5000 0.0000 Nd
0.8589 0.8589 0.8589 Nd
0.1239 0.8739 0.2500 Sb
0.2500 0.1239 0.8739 Sb
0.3761 0.6261 0.7500 Sb
0.6261 0.7500 0.3761 Sb
0.7500 0.3761 0.6261 Sb
0.8739 0.2500 0.1239 Sb
```

Computed properties:
- E_form: -1.15 eV per atom
- Space group: No. 199



Record 4
Material: MgTe4Mo2W2S4
Method: DFT, PBE
State: optimized geometry

```
MgTe4Mo2W2S4
1.0
2.9218 -1.6871 0.0000
2.9218 1.6871 0.0000
-0.0585 0.0000 41.9577
Mg Te Mo W S
1 4 2 2 4
direct
0.0000 0.0000 0.0000 Mg
0.0015 0.0015 0.2307 Te
0.0025 0.0025 0.3211 Te
0.6681 0.6681 0.6672 Te
0.6692 0.6692 0.7570 Te
0.0009 0.0009 0.0931 Mo
0.0020 0.0020 0.7121 Mo
0.6683 0.6683 0.8967 W
0.6687 0.6687 0.2759 W
0.0014 0.0014 0.8608 S
0.0020 0.0020 0.9327 S
0.6673 0.6673 0.0567 S
0.6678 0.6678 0.1287 S
```

Computed properties:
- E_form: -0.53 eV per atom
- Space group: No. 8
- Magnetization: 0.00 μB per atom
- E above lowest polymorph: 0.030 eV per formula unit



Record 5
Material: Hg
Method: DFT, PBE
State: optimized geometry

```
Hg
1.0
-2.0697 2.0697 1.8023
2.0697 -2.0697 1.8023
2.0697 2.0697 -1.8023
Hg
1
direct
0.0000 0.0000 0.0000 Hg
```

Computed properties:
- E_form: 0.01 eV per atom
- Space group: No. 139
- Magnetization: 0.00 μB per atom
- E above lowest polymorph: 0.008 eV per formula unit



Record 6
Material: CsNdP4O12
Method: DFT, PBE
State: optimized geometry

```
CsNdP4O12
1.0
10.6261 0.0000 0.0000
0.0000 9.1541 0.0000
-7.3720 0.0000 10.9053
Cs Nd P O
4 4 16 48
direct
0.2248 0.0657 0.0392 Cs
0.2248 0.4343 0.5392 Cs
0.7752 0.5657 0.4608 Cs
0.7752 0.9343 0.9608 Cs
0.3167 0.7260 0.8186 Nd
0.3167 0.7740 0.3186 Nd
0.6833 0.2260 0.6814 Nd
0.6833 0.2740 0.1814 Nd
0.0330 0.0302 0.2850 P
0.0330 0.4698 0.7850 P
0.2001 0.6039 0.0254 P
0.2001 0.8961 0.5254 P
0.3248 0.1751 0.3639 P
0.3248 0.3249 0.8639 P
0.3857 0.0929 0.7413 P
0.3857 0.4071 0.2413 P
0.6143 0.5929 0.7587 P
0.6143 0.9071 0.2587 P
0.6752 0.6751 0.1361 P
0.6752 0.8249 0.6361 P
0.7999 0.1039 0.4746 P
0.7999 0.3961 0.9746 P
0.9670 0.5302 0.2150 P
0.9670 0.9698 0.7150 P
0.0462 0.5392 0.9046 O
0.0462 0.9608 0.4046 O
0.0762 0.5802 0.7248 O
0.0762 0.9198 0.2248 O
0.1214 0.5978 0.2930 O
0.1214 0.9022 0.7930 O
0.1597 0.1599 0.3442 O
0.1597 0.3401 0.8442 O
0.1622 0.7066 0.0936 O
0.1622 0.7934 0.5936 O
0.2660 0.0493 0.5997 O
0.2660 0.4507 0.0997 O
0.2786 0.2063 0.7559 O
0.2786 0.2937 0.2559 O
0.2996 0.6594 0.9865 O
0.2996 0.8406 0.4865 O
0.3674 0.0355 0.3308 O
0.3674 0.4645 0.8308 O
0.4222 0.5369 0.3230 O
0.4222 0.9631 0.8230 O
0.4279 0.2445 0.4871 O
0.4279 0.2555 0.9871 O
0.4860 0.6764 0.7478 O
0.4860 0.8236 0.2478 O
0.5140 0.1764 0.7522 O
0.5140 0.3236 0.2522 O
0.5721 0.7445 0.0129 O
0.5721 0.7555 0.5129 O
0.5778 0.0369 0.1770 O
0.5778 0.4631 0.6770 O
0.6326 0.5355 0.1692 O
0.6326 0.9645 0.6692 O
0.7004 0.1594 0.5135 O
0.7004 0.3406 0.0135 O
0.7214 0.7063 0.7441 O
0.7214 0.7937 0.2441 O
0.7340 0.5493 0.9003 O
0.7340 0.9507 0.4003 O
0.8378 0.2066 0.4064 O
0.8378 0.2934 0.9064 O
0.8403 0.6599 0.1558 O
0.8403 0.8401 0.6558 O
0.8786 0.0978 0.2070 O
0.8786 0.4022 0.7070 O
0.9238 0.0802 0.7752 O
0.9238 0.4198 0.2752 O
0.9538 0.0392 0.5954 O
0.9538 0.4608 0.0954 O
```

Computed properties:
- E_form: -2.92 eV per atom
- Space group: No. 14
- Magnetization: 0.00 μB per atom
- E above lowest polymorph: 0.188 eV per formula unit



Record 7
Material: Na6Ga8Si3S9O48
Method: DFT, PBE
State: optimized geometry

```
Na6Ga8Si3S9O48
1.0
8.5923 0.0000 0.0000
-0.0160 14.9436 0.0000
-0.0032 -0.2504 22.1857
Na Ga Si S O
18 24 9 27 144
direct
0.0000 0.0000 0.0000 Na
0.9999 0.3249 0.1690 Na
0.0007 0.0005 0.5029 Na
0.1352 0.4925 0.2537 Na
0.1350 0.8333 0.9144 Na
0.3593 0.3321 0.4177 Na
0.3598 0.9942 0.7473 Na
0.4914 0.8303 0.6655 Na
0.4934 0.4997 0.5014 Na
0.4970 0.1637 0.8318 Na
0.5004 0.1575 0.3347 Na
0.5005 0.4992 0.9993 Na
0.5041 0.8317 0.1706 Na
0.6352 0.3332 0.9141 Na
0.8567 0.8336 0.4173 Na
0.9893 0.3294 0.6693 Na
0.9934 0.6583 0.8317 Na
0.9960 0.6648 0.3354 Na
0.0012 0.6667 0.6872 Ga
0.0028 0.3322 0.5180 Ga
0.0038 0.6564 0.4834 Ga
0.0091 0.3314 0.3174 Ga
0.0102 0.9932 0.8499 Ga
0.0160 0.9925 0.6482 Ga
0.4854 0.4927 0.3539 Ga
0.4870 0.8340 0.8139 Ga
0.4903 0.1557 0.9822 Ga
0.4912 0.4920 0.1527 Ga
0.4909 0.8346 0.0160 Ga
0.4924 0.1648 0.1890 Ga
0.4989 0.1470 0.4853 Ga
0.4990 0.8458 0.5209 Ga
0.5014 0.4914 0.6525 Ga
0.5026 0.1665 0.6834 Ga
0.5129 0.8386 0.3155 Ga
0.5136 0.4923 0.8490 Ga
0.9814 0.3394 0.8121 Ga
0.9828 0.9923 0.3522 Ga
0.9897 0.6725 0.1871 Ga
0.9903 0.9935 0.1549 Ga
0.9908 0.3332 0.0150 Ga
0.9905 0.6560 0.9821 Ga
0.1382 0.4780 0.4182 Si
0.1389 0.8464 0.7513 Si
0.3496 0.0189 0.5872 Si
0.3521 0.9779 0.9175 Si
0.3532 0.3475 0.2507 Si
0.6398 0.3469 0.7493 Si
0.6422 0.9792 0.4178 Si
0.8494 0.8498 0.2506 Si
0.8525 0.4778 0.9183 Si
0.1379 0.1449 0.7518 S
0.1398 0.1822 0.4176 S
0.1431 0.5183 0.0856 S
0.1435 0.8080 0.0830 S
0.2015 0.1631 0.0847 S
0.2092 0.4964 0.7512 S
0.2113 0.8295 0.4169 S
0.2830 0.3298 0.9177 S
0.2845 0.9959 0.2509 S
0.2918 0.6614 0.5850 S
0.3502 0.3095 0.5827 S
0.3543 0.6437 0.2502 S
0.3546 0.6823 0.9184 S
0.6376 0.6833 0.4185 S
0.6412 0.6426 0.7505 S
0.6433 0.0185 0.0852 S
0.6430 0.3073 0.0837 S
0.7005 0.6630 0.0843 S
0.7105 0.3296 0.4176 S
0.7149 0.9959 0.7513 S
0.7830 0.4961 0.2507 S
0.7830 0.8299 0.9180 S
0.7928 0.1649 0.5837 S
0.8504 0.5186 0.5853 S
0.8508 0.8054 0.5834 S
0.8522 0.1429 0.2507 S
0.8542 0.1824 0.9181 S
0.0602 0.5766 0.4244 O
0.0605 0.7477 0.7449 O
0.0624 0.4368 0.3561 O
0.0640 0.1063 0.6974 O
0.0636 0.8865 0.8138 O
0.0658 0.2207 0.4723 O
0.0721 0.2350 0.7604 O
0.0719 0.5588 0.1410 O
0.0719 0.7671 0.0275 O
0.0725 0.4276 0.0795 O
0.0733 0.8982 0.0889 O
0.0741 0.0923 0.4091 O
0.1008 0.7517 0.4235 O
0.1031 0.0816 0.0913 O
0.1034 0.2447 0.0775 O
0.1046 0.5748 0.7446 O
0.1138 0.9118 0.4122 O
0.1164 0.2392 0.3633 O
0.1166 0.0876 0.8062 O
0.1168 0.4129 0.7562 O
0.1174 0.5743 0.0318 O
0.1179 0.7514 0.1366 O
0.1209 0.9145 0.6957 O
0.1223 0.4099 0.4749 O
0.1598 0.0104 0.5892 O
0.1611 0.9861 0.9126 O
0.1618 0.3402 0.2558 O
0.1764 0.3166 0.5785 O
0.1805 0.6460 0.2425 O
0.1810 0.6793 0.9262 O
0.1896 0.0147 0.3050 O
0.1897 0.3112 0.8639 O
0.1908 0.3427 0.9744 O
0.1918 0.9830 0.1943 O
0.1934 0.6773 0.6391 O
0.1950 0.6447 0.5301 O
0.2976 0.1472 0.0298 O
0.2992 0.1792 0.1387 O
0.3021 0.4831 0.6954 O
0.3031 0.8107 0.3620 O
0.3034 0.8410 0.4725 O
0.3040 0.5147 0.8060 O
0.3100 0.1495 0.7464 O
0.3123 0.1804 0.4233 O
0.3160 0.5112 0.0899 O
0.3164 0.8145 0.0785 O
0.3297 0.4854 0.4130 O
0.3306 0.8396 0.7561 O
0.3671 0.4152 0.1929 O
0.3666 0.9113 0.9758 O
0.3694 0.0801 0.5278 O
0.3749 0.5862 0.3038 O
0.3757 0.2554 0.6368 O
0.3756 0.7394 0.8649 O
0.3771 0.9130 0.2554 O
0.3801 0.4121 0.9138 O
0.3883 0.5790 0.5918 O
0.3886 0.0751 0.2439 O
0.3902 0.7409 0.5775 O
0.3920 0.2519 0.9252 O
0.4178 0.7336 0.2581 O
0.4191 0.4013 0.5888 O
0.4187 0.5920 0.9106 O
0.4212 0.2714 0.5269 O
0.4275 0.9187 0.5818 O
0.4277 0.6051 0.1948 O
0.4278 0.7206 0.9740 O
0.4295 0.0624 0.6481 O
0.4324 0.0762 0.9243 O
0.4318 0.3909 0.3111 O
0.4322 0.9346 0.8577 O
0.4330 0.2497 0.2436 O
0.5582 0.9366 0.3589 O
0.5590 0.2483 0.7421 O
0.5612 0.3861 0.8120 O
0.5653 0.7216 0.4730 O
0.5656 0.6048 0.6957 O
0.5673 0.0788 0.4222 O
0.5698 0.0594 0.1394 O
0.5721 0.2677 0.0278 O
0.5723 0.9276 0.0790 O
0.5725 0.3985 0.0894 O
0.5739 0.5916 0.4099 O
0.5743 0.7332 0.7588 O
0.6025 0.2529 0.4240 O
0.6028 0.5813 0.0912 O
0.6030 0.7444 0.0774 O
0.6082 0.0741 0.7481 O
0.6145 0.4129 0.4128 O
0.6155 0.2517 0.1372 O
0.6164 0.9132 0.7560 O
0.6169 0.5887 0.8056 O
0.6171 0.7382 0.3635 O
0.6185 0.0736 0.0307 O
0.6193 0.4126 0.6919 O
0.6318 0.9093 0.4741 O
0.6613 0.4862 0.9127 O
0.6614 0.8362 0.2551 O
0.6780 0.5114 0.5900 O
0.6793 0.8098 0.5782 O
0.6807 0.1481 0.2428 O
0.6806 0.1792 0.9263 O
0.6895 0.5146 0.3050 O
0.6896 0.8111 0.8638 O
0.6903 0.8424 0.9743 O
0.6905 0.4832 0.1945 O
0.6981 0.1510 0.5285 O
0.6991 0.1839 0.6383 O
0.7975 0.6470 0.0299 O
0.7977 0.6785 0.1388 O
0.8040 0.3123 0.3625 O
0.8046 0.3438 0.4729 O
0.8077 0.0120 0.8071 O
0.8078 0.9836 0.6960 O
0.8118 0.6784 0.4252 O
0.8125 0.6478 0.7432 O
0.8156 0.0111 0.0900 O
0.8159 0.3149 0.0790 O
0.8287 0.3365 0.7549 O
0.8332 0.9862 0.4126 O
0.8654 0.4123 0.9774 O
0.8726 0.9108 0.1906 O
0.8749 0.5734 0.5306 O
0.8761 0.2391 0.8649 O
0.8775 0.0883 0.3046 O
0.8795 0.4139 0.2551 O
0.8789 0.7496 0.6372 O
0.8795 0.9120 0.9139 O
0.8859 0.0829 0.5911 O
0.8914 0.7518 0.9249 O
0.8917 0.5740 0.2438 O
0.8934 0.2465 0.5766 O
0.9182 0.0917 0.9109 O
0.9182 0.8960 0.5894 O
0.9187 0.2338 0.2579 O
0.9211 0.4280 0.5791 O
0.9234 0.5595 0.6396 O
0.9243 0.7659 0.5275 O
0.9271 0.1060 0.1949 O
0.9274 0.2200 0.9741 O
0.9321 0.5766 0.9247 O
0.9321 0.7505 0.2450 O
0.9330 0.8894 0.3111 O
0.9364 0.4333 0.8607 O
```

Computed properties:
- E_form: -2.15 eV per atom
- Space group: No. 1
- Magnetization: 0.00 μB per atom



Record 8
Material: Pm3Zn
Method: DFT, PBE
State: optimized geometry

```
Pm3Zn
1.0
-2.3888 2.3888 5.0052
2.3888 -2.3888 5.0052
2.3888 2.3888 -5.0052
Pm Zn
3 1
direct
0.0000 0.0000 0.0000 Pm
0.2500 0.7500 0.5000 Pm
0.7500 0.2500 0.5000 Pm
0.5000 0.5000 0.0000 Zn
```

Computed properties:
- E_form: -0.03 eV per atom
- Space group: No. 139
- Magnetization: 0.01 μB per atom
- E above lowest polymorph: 0.040 eV per formula unit



- E_form of number 1 (LaFe8Si5)?
  -0.40 eV per atom



Copy entry 4 word for word.
Material: MgTe4Mo2W2S4
Method: DFT, PBE
State: optimized geometry

```
MgTe4Mo2W2S4
1.0
2.9218 -1.6871 0.0000
2.9218 1.6871 0.0000
-0.0585 0.0000 41.9577
Mg Te Mo W S
1 4 2 2 4
direct
0.0000 0.0000 0.0000 Mg
0.0015 0.0015 0.2307 Te
0.0025 0.0025 0.3211 Te
0.6681 0.6681 0.6672 Te
0.6692 0.6692 0.7570 Te
0.0009 0.0009 0.0931 Mo
0.0020 0.0020 0.7121 Mo
0.6683 0.6683 0.8967 W
0.6687 0.6687 0.2759 W
0.0014 0.0014 0.8608 S
0.0020 0.0020 0.9327 S
0.6673 0.6673 0.0567 S
0.6678 0.6678 0.1287 S
```

Computed properties:
- E_form: -0.53 eV per atom
- Space group: No. 8
- Magnetization: 0.00 μB per atom
- E above lowest polymorph: 0.030 eV per formula unit



- What is the E_form in the second record?
  -0.05 eV per atom



- The lowest E_form belongs to which entry?
  CsNdP4O12